Record 1
Li2TiV5O12 | Materials Project | GGA+U | relaxed; formation enthalpy at 0 K = -2.58 eV/atom; volume = 11.92 A^3/atom; E_tot = -7.564 eV per atom; SG = C2, No. 5; mass density = 3.5 Mg/m³
1.0
6.8661 -0.6029 -0.0908
-1.3306 6.7628 0.0908
-1.6256 1.4608 5.2592
Li Ti V O
2 1 5 12
Direct
0.3078 0.3078 0.2500
0.6955 0.6955 0.7500
0.9223 0.9223 0.2500
0.0762 0.0763 0.7500
0.1750 0.6321 0.6840
0.3641 0.8330 0.1788
0.6321 0.1750 0.8160
0.8330 0.3641 0.3212
0.9841 0.8069 0.6472
0.0368 0.3548 0.7027
0.1834 0.0318 0.1223
0.3928 0.6949 0.5514
0.3548 0.0368 0.7974
0.2898 0.5995 0.0348
0.6949 0.3928 0.9486
0.6567 0.9622 0.2116
0.5995 0.2898 0.4652
0.8069 0.9841 0.8528
0.9622 0.6567 0.2884
0.0318 0.1834 0.3777



Record 2
Li2TiV2O6 | Materials Project | GGA+U | relaxed; formation enthalpy at 0 K = -2.74 eV/atom; volume = 10.47 A^3/atom; E_tot = -7.467 eV per atom; SG = P2_1/m, No. 11; mass density = 3.7 Mg/m³
1.0
-0.5299 -2.7966 -0.8750
-2.2069 -3.4934 12.4998
-5.9263 0.9191 0.6511
Li Ti V O
4 2 4 12
Direct
0.4999 0.1754 0.6789
0.9999 0.6710 0.1777
0.5000 0.4959 0.9893
0.0000 0.9912 0.4874
0.0000 0.3370 0.3285
0.5000 0.8299 0.8377
0.0000 0.9943 0.0137
0.5000 0.1724 0.1528
0.5000 0.4949 0.5191
0.0000 0.6716 0.6480
0.0000 0.4902 0.2762
0.4999 0.9874 0.7785
0.0000 0.1793 0.3875
0.5001 0.6765 0.8908
0.5000 0.3360 0.1172
0.0000 0.8312 0.6187
0.5000 0.3354 0.5480
0.0000 0.8309 0.0493
0.0000 0.1562 0.9380
0.5000 0.6544 0.4312
0.5000 0.0100 0.2292
0.0000 0.5122 0.7357



Look up the formation enthalpy at 0 K of the first one. -2.58 eV/atom



Which of these has the highest mass density? Li2TiV2O6



Which value of E_tot does entry 2 give? -7.467 eV per atom



mass density of number 1 (Li2TiV5O12)? 3.5 Mg/m³